1.
Here is a geometry-optimized KRhO3 structure from the Materials Project. Energies are from PBE.

Values from the calculation:
Size of the total moment in μB per cell: 2.4

abc: 3.9916 3.9916 3.9916
angles: 90.00 90.00 90.00
Fractional positions:
O1 0.5000 0.5000 0.0000
K1 0.0000 0.0000 0.0000
Rh1 0.5000 0.5000 0.5000
O2 0.0000 0.5000 0.5000
O3 0.5000 0.0000 0.5000

***

2.
Here is a geometry-optimized KRu4O8 structure from the Materials Project. Energies are from PBE.

abc: 7.2377 7.2377 7.2377
angles: 92.77 92.77 154.58
Fractional positions:
O1 0.8495 0.2003 0.0498
O2 0.1505 0.7997 0.9502
O3 0.7997 0.8495 0.6493
K1 0.5000 0.5000 0.0000
Ru1 0.3520 0.8333 0.1853
O4 0.1561 0.5466 0.7027
O5 0.2003 0.1505 0.3507
Ru2 0.8333 0.6480 0.4813
O6 0.4534 0.1561 0.6095
O7 0.5466 0.8439 0.3905
Ru3 0.6480 0.1667 0.8147
O8 0.8439 0.4534 0.2973
Ru4 0.1667 0.3520 0.5187

***

Results for formation energy from the elements: -1.19 -1.48 (in eV/atom, following the order of the records).